Material: CeAgPb
Method: DFT, PBE-GGA
State: optimized geometry

Lattice parameters (Å, degrees): 4.9384 4.9384 7.6166 90.00 90.00 120.00
With the nearest neighbours (Å) after each atom.
Atoms (fractional coordinates):
Ce: 0.0000 0.0000 0.0000  3 Ag 3.22, 6 Pb 3.31-3.55
Ce: 0.0000 0.0000 0.5000  3 Ag 3.22, 6 Pb 3.31-3.55
Ag: 0.3333 0.6667 0.1963  4 Pb 2.92-3.18, 3 Ce 3.22
Ag: 0.6667 0.3333 0.6963  4 Pb 2.92-3.18, 3 Ce 3.22
Pb: 0.3333 0.6667 0.7785  4 Ag 2.92-3.18
Pb: 0.6667 0.3333 0.2785  4 Ag 2.92-3.18

Properties
Formation energy from the elements, kcal/mol of atoms: -8.14